! LiGd2Ir (PBE-GGA, relaxed); values from VASP
&SYSTEM
  ibrav = 0, nat = 4, ntyp = 3
/
ATOMIC_SPECIES
Li 6.94 Li.upf
Gd 157.25 Gd.upf
Ir 192.22 Ir.upf
ATOMIC_POSITIONS angstrom
Li 5.272 5.267 5.277
Gd 3.515 3.512 3.519
Gd 3.520 7.014 3.519
Ir 1.757 1.756 1.758
CELL_PARAMETERS angstrom
0.010 3.506 3.513
3.509 0.007 3.516
3.510 3.509 0.007
! E_tot in eV/atom: -10.246
! SG: C2/m
! Energy of formation from the pure elements in eV/atom: -0.5213